No. 1
First-principles (PBE with a Hubbard U) data for Li6CoNiP2C2O14 after structural relaxation, as listed in the Materials Project database.

Unit cell a=8.145 b=8.145 c=9.350 alpha=74.24 beta=105.76 gamma=75.62
Positions (direct):
O 0.667 0.083 0.421
O 0.794 0.456 0.838
O 0.289 0.148 0.306
O 0.898 0.040 0.693
O 0.830 0.420 0.578
O 0.710 0.852 0.693
O 0.878 0.872 0.071
O 0.398 0.540 0.693
O 0.448 0.302 0.563
O 0.602 0.460 0.306
O 0.330 0.920 0.578
O 0.378 0.372 0.071
O 0.102 0.961 0.306
O 0.948 0.802 0.563
O 0.709 0.041 0.165
O 0.790 0.648 0.306
O 0.049 0.201 0.433
O 0.624 0.626 0.931
O 0.124 0.126 0.931
O 0.370 0.880 0.104
O 0.631 0.118 0.898
O 0.131 0.619 0.898
O 0.210 0.352 0.693
O 0.167 0.583 0.421
O 0.870 0.380 0.104
O 0.549 0.701 0.433
O 0.294 0.956 0.838
O 0.209 0.541 0.165
P 0.695 0.555 0.412
P 0.802 0.948 0.586
P 0.195 0.055 0.412
P 0.302 0.448 0.586
Co 0.564 0.686 0.667
Co 0.064 0.186 0.667
Li 0.929 0.821 0.896
Li 0.511 0.972 0.274
Li 0.488 0.027 0.726
Li 0.723 0.262 0.727
Li 0.572 0.678 0.104
Li 0.011 0.472 0.274
Li 0.988 0.527 0.727
Li 0.071 0.179 0.104
Li 0.778 0.239 0.274
Li 0.278 0.739 0.274
Li 0.223 0.762 0.726
Li 0.429 0.321 0.896
C 0.239 0.511 0.042
C 0.763 0.487 0.960
C 0.739 0.011 0.042
C 0.263 0.987 0.960
Ni 0.437 0.313 0.332
Ni 0.937 0.813 0.332



No. 2
First-principles (PBE with a Hubbard U) data for Li4Mn3Cr3Ni2O16 after structural relaxation, as listed in the Materials Project database.

Unit cell a=5.813 b=5.813 c=9.617 alpha=89.75 beta=89.75 gamma=59.96
Positions (direct):
O 0.843 0.843 0.395
O 0.160 0.160 0.889
O 0.337 0.337 0.394
O 0.996 0.996 0.686
O 0.996 0.996 0.187
O 0.517 0.964 0.670
O 0.163 0.681 0.891
O 0.844 0.318 0.391
O 0.481 0.037 0.172
O 0.964 0.517 0.670
O 0.483 0.483 0.170
O 0.037 0.481 0.172
O 0.681 0.163 0.891
O 0.520 0.520 0.671
O 0.318 0.844 0.391
O 0.670 0.670 0.895
Mn 0.168 0.661 0.285
Mn 0.829 0.829 0.783
Mn 0.661 0.168 0.285
Cr 0.167 0.167 0.289
Cr 0.830 0.335 0.787
Cr 0.335 0.830 0.787
Ni 0.333 0.333 0.013
Ni 0.667 0.667 0.509
Li 0.999 0.999 0.502
Li 0.335 0.335 0.608
Li 0.999 0.999 0.001
Li 0.668 0.668 0.109



No. 3
First-principles (PBE with a Hubbard U) data for Ti2MnP3O12 after structural relaxation, as listed in the Materials Project database.

Unit cell a=8.670 b=8.670 c=8.670 alpha=60.06 beta=60.06 gamma=60.06
Positions (direct):
O 0.764 0.559 0.414
O 0.497 0.691 0.883
O 0.441 0.586 0.236
O 0.003 0.617 0.809
O 0.559 0.414 0.764
O 0.236 0.441 0.586
O 0.809 0.003 0.617
O 0.059 0.264 0.914
O 0.383 0.191 0.997
O 0.503 0.309 0.117
O 0.914 0.059 0.264
O 0.617 0.809 0.003
O 0.117 0.503 0.309
O 0.941 0.736 0.086
O 0.997 0.383 0.191
O 0.264 0.914 0.059
O 0.586 0.236 0.441
O 0.736 0.086 0.941
O 0.414 0.764 0.559
O 0.191 0.997 0.383
O 0.883 0.497 0.691
O 0.086 0.941 0.736
O 0.309 0.117 0.503
O 0.691 0.883 0.497
P 0.043 0.457 0.750
P 0.957 0.543 0.250
P 0.457 0.750 0.043
P 0.750 0.043 0.457
P 0.543 0.250 0.957
P 0.250 0.957 0.543
Ti 0.855 0.855 0.855
Ti 0.645 0.645 0.645
Ti 0.145 0.145 0.145
Ti 0.355 0.355 0.355
Mn 0.500 0.500 0.500
Mn 0.000 0.000 0.000



no.,size of the total moment (μB per formula unit),E (MP2020) (eV per atom)
1,2.00,-7.02
2,19.00,-7.49
3,4.00,-8.51